# 1
Density functional theory data (PBE+U) for a relaxed LiCo3O4 crystal.

Values from the calculation:
- ΔH_f (0 K): -1.408 eV per atom
- Energy: -46.6 eV per cell
- Space-group type: No. 65
- Offset from the most stable computed form: 0.0 meV/atom

Cell lengths 5.179, 5.179, 2.994 Å; angles 90.00, 90.00, 108.27 degrees
Atoms (fractional coordinates):
Li1 0.000 0.000 0.000
Co1 0.000 0.500 0.500
Co2 0.500 0.000 0.500
Co3 0.500 0.500 0.000
O1 0.257 0.743 0.000
O2 0.267 0.267 0.500
O3 0.733 0.733 0.500
O4 0.743 0.257 0.000

=====

# 2
Density functional theory data (PBE+U) for a relaxed Li7Co2O6 crystal.

Values from the calculation:
- ΔH_f (0 K): -1.771 eV per atom
- Energy: -152.9 eV per cell
- Space-group type: No. 15
- Offset from the most stable computed form: 50.6 meV/atom

Cell lengths 6.552, 6.552, 9.980 Å; angles 105.15, 105.15, 46.05 degrees
Atoms (fractional coordinates):
Li1 0.045 0.955 0.750
Li2 0.179 0.273 0.796
Li3 0.226 0.437 0.593
Li4 0.273 0.179 0.296
Li5 0.327 0.549 0.331
Li6 0.437 0.226 0.093
Li7 0.451 0.673 0.169
Li8 0.549 0.327 0.831
Li9 0.563 0.774 0.907
Li10 0.673 0.451 0.669
Li11 0.727 0.821 0.704
Li12 0.774 0.563 0.407
Li13 0.821 0.727 0.204
Li14 0.955 0.045 0.250
Co1 0.014 0.174 0.031
Co2 0.174 0.014 0.531
Co3 0.826 0.986 0.469
Co4 0.986 0.826 0.969
O1 0.055 0.602 0.414
O2 0.144 0.627 0.801
O3 0.144 0.655 0.130
O4 0.345 0.856 0.370
O5 0.373 0.856 0.699
O6 0.398 0.945 0.086
O7 0.602 0.055 0.914
O8 0.627 0.144 0.301
O9 0.655 0.144 0.630
O10 0.856 0.345 0.870
O11 0.856 0.373 0.199
O12 0.945 0.398 0.586

=====

# 3
Density functional theory data (PBE+U) for a relaxed Li4Co7O16 crystal.

Values from the calculation:
- ΔH_f (0 K): -1.370 eV per atom
- Energy: -302.2 eV per cell
- Space-group type: No. 4

Cell lengths 8.045, 8.106, 8.097 Å; angles 90.00, 90.36, 90.00 degrees
Atoms (fractional coordinates):
Li1 0.000 0.000 0.249
Li2 0.000 0.500 0.751
Li3 0.254 0.246 0.999
Li4 0.379 0.621 0.876
Li5 0.497 0.496 0.245
Li6 0.503 0.996 0.755
Li7 0.621 0.121 0.124
Li8 0.746 0.746 0.001
Co1 0.123 0.625 0.125
Co2 0.127 0.875 0.880
Co3 0.129 0.127 0.624
Co4 0.245 0.747 0.507
Co5 0.372 0.878 0.132
Co6 0.373 0.123 0.383
Co7 0.373 0.366 0.621
Co8 0.627 0.623 0.617
Co9 0.627 0.866 0.379
Co10 0.628 0.378 0.868
Co11 0.755 0.247 0.493
Co12 0.871 0.627 0.376
Co13 0.873 0.375 0.120
Co14 0.877 0.125 0.875
O1 0.101 0.405 0.114
O2 0.105 0.639 0.359
O3 0.112 0.109 0.858
O4 0.113 0.652 0.899
O5 0.136 0.861 0.114
O6 0.138 0.889 0.645
O7 0.149 0.110 0.404
O8 0.151 0.348 0.636
O9 0.346 0.644 0.130
O10 0.351 0.879 0.901
O11 0.365 0.135 0.616
O12 0.367 0.102 0.152
O13 0.385 0.342 0.397
O14 0.387 0.602 0.617
O15 0.388 0.884 0.370
O16 0.405 0.368 0.851
O17 0.595 0.868 0.149
O18 0.612 0.384 0.630
O19 0.613 0.102 0.383
O20 0.615 0.842 0.603
O21 0.633 0.602 0.848
O22 0.635 0.635 0.384
O23 0.649 0.379 0.099
O24 0.654 0.144 0.870
O25 0.849 0.848 0.364
O26 0.851 0.610 0.596
O27 0.862 0.389 0.355
O28 0.864 0.361 0.886
O29 0.887 0.152 0.101
O30 0.888 0.609 0.142
O31 0.895 0.139 0.641
O32 0.899 0.905 0.886

=====

# 4
Density functional theory data (PBE+U) for a relaxed Li5CoO4 crystal.

Values from the calculation:
- ΔH_f (0 K): -1.873 eV per atom
- Energy: -406.3 eV per cell
- Space-group type: No. 61
- Offset from the most stable computed form: 50.3 meV/atom

Cell lengths 5.083, 16.136, 9.721 Å; angles 90.00, 90.00, 90.00 degrees
Atoms (fractional coordinates):
Li1 0.030 0.227 0.044
Li2 0.030 0.273 0.544
Li3 0.081 0.570 0.440
Li4 0.081 0.930 0.940
Li5 0.095 0.179 0.314
Li6 0.095 0.321 0.814
Li7 0.101 0.519 0.196
Li8 0.101 0.981 0.696
Li9 0.105 0.666 0.691
Li10 0.105 0.834 0.191
Li11 0.395 0.166 0.691
Li12 0.395 0.334 0.191
Li13 0.399 0.019 0.196
Li14 0.399 0.481 0.696
Li15 0.405 0.679 0.314
Li16 0.405 0.821 0.814
Li17 0.419 0.070 0.440
Li18 0.419 0.430 0.940
Li19 0.470 0.727 0.044
Li20 0.470 0.773 0.544
Li21 0.530 0.227 0.456
Li22 0.530 0.273 0.956
Li23 0.581 0.570 0.060
Li24 0.581 0.930 0.560
Li25 0.595 0.179 0.186
Li26 0.595 0.321 0.686
Li27 0.601 0.519 0.304
Li28 0.601 0.981 0.804
Li29 0.605 0.666 0.809
Li30 0.605 0.834 0.309
Li31 0.895 0.166 0.809
Li32 0.895 0.334 0.309
Li33 0.899 0.019 0.304
Li34 0.899 0.481 0.804
Li35 0.905 0.679 0.186
Li36 0.905 0.821 0.686
Li37 0.919 0.070 0.060
Li38 0.919 0.430 0.560
Li39 0.970 0.727 0.456
Li40 0.970 0.773 0.956
Co1 0.125 0.616 0.953
Co2 0.125 0.884 0.453
Co3 0.375 0.116 0.953
Co4 0.375 0.384 0.453
Co5 0.625 0.616 0.547
Co6 0.625 0.884 0.047
Co7 0.875 0.116 0.547
Co8 0.875 0.384 0.047
O1 0.212 0.152 0.522
O2 0.212 0.348 0.022
O3 0.231 0.125 0.139
O4 0.231 0.375 0.639
O5 0.232 0.209 0.854
O6 0.232 0.291 0.354
O7 0.247 0.524 0.866
O8 0.247 0.976 0.366
O9 0.253 0.024 0.866
O10 0.253 0.476 0.366
O11 0.268 0.709 0.854
O12 0.268 0.791 0.354
O13 0.269 0.625 0.139
O14 0.269 0.875 0.639
O15 0.288 0.652 0.522
O16 0.288 0.848 0.022
O17 0.712 0.152 0.978
O18 0.712 0.348 0.478
O19 0.731 0.125 0.361
O20 0.731 0.375 0.861
O21 0.732 0.209 0.646
O22 0.732 0.291 0.146
O23 0.747 0.524 0.634
O24 0.747 0.976 0.134
O25 0.753 0.024 0.634
O26 0.753 0.476 0.134
O27 0.768 0.709 0.646
O28 0.768 0.791 0.146
O29 0.769 0.625 0.361
O30 0.769 0.875 0.861
O31 0.788 0.652 0.978
O32 0.788 0.848 0.478

=====

# 5
Density functional theory data (PBE+U) for a relaxed LiCo2O4 crystal.

Values from the calculation:
- Maximum piezoelectric response: 0.4 C/m²
- ΔH_f (0 K): -1.471 eV per atom
- Energy: -80.4 eV per cell
- Space-group type: No. 160
- Offset from the most stable computed form: 42.7 meV/atom

Cell lengths 5.778, 5.778, 5.778 Å; angles 59.26, 59.26, 59.26 degrees
Atoms (fractional coordinates):
Li1 0.000 0.000 0.000
Li2 0.379 0.379 0.379
Co1 0.377 0.377 0.884
Co2 0.377 0.884 0.377
Co3 0.757 0.757 0.757
Co4 0.884 0.377 0.377
O1 0.129 0.129 0.585
O2 0.129 0.585 0.129
O3 0.142 0.142 0.142
O4 0.169 0.627 0.627
O5 0.585 0.129 0.129
O6 0.618 0.618 0.618
O7 0.627 0.169 0.627
O8 0.627 0.627 0.169

=====

# 6
Density functional theory data (PBE+U) for a relaxed Li2CoO2 crystal.

Values from the calculation:
- ΔH_f (0 K): -1.729 eV per atom
- Energy: -52.9 eV per cell
- Space-group type: No. 10
- Offset from the most stable computed form: 13.8 meV/atom

Cell lengths 5.171, 3.074, 5.596 Å; angles 90.00, 91.77, 90.00 degrees
Atoms (fractional coordinates):
Li1 0.139 0.000 0.164
Li2 0.141 0.500 0.666
Li3 0.859 0.500 0.334
Li4 0.861 0.000 0.836
Co1 0.500 0.000 0.500
Co2 0.500 0.500 0.000
O1 0.259 0.000 0.843
O2 0.265 0.500 0.341
O3 0.735 0.500 0.659
O4 0.741 0.000 0.157

=====

# 7
Density functional theory data (PBE+U) for a relaxed Li3Co4O8 crystal.

Values from the calculation:
- ΔH_f (0 K): -1.573 eV per atom
- Energy: -170.6 eV per cell
- Space-group type: No. 10
- Offset from the most stable computed form: 15.2 meV/atom

Cell lengths 5.952, 5.789, 8.278 Å; angles 90.00, 92.23, 90.00 degrees
Atoms (fractional coordinates):
Li1 0.000 0.000 0.000
Li2 0.250 0.250 0.249
Li3 0.250 0.750 0.249
Li4 0.500 0.500 0.500
Li5 0.750 0.250 0.751
Li6 0.750 0.750 0.751
Co1 0.000 0.000 0.500
Co2 0.000 0.500 0.500
Co3 0.254 0.247 0.753
Co4 0.254 0.753 0.753
Co5 0.500 0.000 0.000
Co6 0.500 0.500 0.000
Co7 0.746 0.247 0.247
Co8 0.746 0.753 0.247
O1 0.014 0.500 0.728
O2 0.017 0.000 0.743
O3 0.223 0.262 0.508
O4 0.223 0.738 0.508
O5 0.274 0.241 0.993
O6 0.274 0.759 0.993
O7 0.486 0.500 0.759
O8 0.488 0.000 0.765
O9 0.512 0.000 0.235
O10 0.514 0.500 0.241
O11 0.726 0.241 0.007
O12 0.726 0.759 0.007
O13 0.777 0.262 0.492
O14 0.777 0.738 0.492
O15 0.983 0.000 0.257
O16 0.986 0.500 0.272

=====

# 8
Density functional theory data (PBE+U) for a relaxed Li5Co4O8 crystal.

Values from the calculation:
- ΔH_f (0 K): -1.662 eV per atom
- Energy: -375.1 eV per cell
- Space-group type: No. 1
- Offset from the most stable computed form: 0.0 meV/atom

Cell lengths 8.203, 8.212, 8.357 Å; angles 89.84, 89.85, 89.93 degrees
Atoms (fractional coordinates):
Li1 0.000 0.000 0.000
Li2 0.002 0.724 0.728
Li3 0.026 0.208 0.192
Li4 0.203 0.727 0.517
Li5 0.210 0.503 0.713
Li6 0.223 0.217 0.987
Li7 0.242 0.006 0.193
Li8 0.350 0.862 0.365
Li9 0.366 0.377 0.863
Li10 0.482 0.223 0.692
Li11 0.497 0.727 0.204
Li12 0.507 0.009 0.486
Li13 0.513 0.505 0.010
Li14 0.707 0.026 0.693
Li15 0.715 0.250 0.499
Li16 0.719 0.514 0.242
Li17 0.724 0.716 0.016
Li18 0.841 0.876 0.852
Li19 0.886 0.355 0.345
Li20 0.988 0.519 0.513
Co1 0.231 0.492 0.232
Co2 0.232 0.991 0.732
Co3 0.233 0.244 0.478
Co4 0.233 0.744 0.977
Co5 0.475 0.498 0.479
Co6 0.485 0.743 0.731
Co7 0.489 0.242 0.229
Co8 0.491 0.994 0.978
Co9 0.734 0.493 0.732
Co10 0.735 0.746 0.483
Co11 0.738 0.246 0.984
Co12 0.738 0.996 0.235
Co13 0.982 0.496 0.979
Co14 0.982 0.992 0.485
Co15 0.983 0.242 0.736
Co16 0.983 0.748 0.230
O1 0.217 0.508 0.976
O2 0.217 0.988 0.500
O3 0.222 0.750 0.211
O4 0.223 0.497 0.482
O5 0.224 0.231 0.740
O6 0.233 0.980 0.964
O7 0.244 0.752 0.744
O8 0.252 0.241 0.221
O9 0.471 0.983 0.729
O10 0.474 0.741 0.967
O11 0.483 0.240 0.462
O12 0.489 0.481 0.235
O13 0.498 0.505 0.729
O14 0.498 0.750 0.497
O15 0.498 0.999 0.232
O16 0.502 0.247 0.994
O17 0.725 0.734 0.718
O18 0.732 0.234 0.220
O19 0.742 0.504 0.494
O20 0.743 0.255 0.747
O21 0.744 0.758 0.247
O22 0.745 0.007 0.002
O23 0.746 0.483 0.967
O24 0.746 0.984 0.469
O25 0.972 0.482 0.745
O26 0.972 0.756 0.468
O27 0.975 0.511 0.210
O28 0.976 0.257 0.970
O29 0.977 0.985 0.248
O30 0.979 0.228 0.503
O31 0.986 0.738 0.988
O32 0.988 0.000 0.722

=====

# 9
Density functional theory data (PBE+U) for a relaxed Li5Co4O8 crystal.

Values from the calculation:
- ΔH_f (0 K): -1.656 eV per atom
- Energy: -187.3 eV per cell
- Space-group type: No. 186
- Offset from the most stable computed form: 5.9 meV/atom

Cell lengths 5.779, 5.779, 9.537 Å; angles 90.00, 90.00, 120.00 degrees
Atoms (fractional coordinates):
Li1 0.000 0.000 0.000
Li2 0.000 0.000 0.500
Li3 0.191 0.383 0.077
Li4 0.191 0.809 0.077
Li5 0.333 0.667 0.298
Li6 0.383 0.191 0.577
Li7 0.617 0.809 0.077
Li8 0.667 0.333 0.798
Li9 0.809 0.191 0.577
Li10 0.809 0.617 0.577
Co1 0.170 0.340 0.806
Co2 0.170 0.830 0.806
Co3 0.333 0.667 0.548
Co4 0.340 0.170 0.306
Co5 0.660 0.830 0.806
Co6 0.667 0.333 0.048
Co7 0.830 0.170 0.306
Co8 0.830 0.660 0.306
O1 0.000 0.000 0.199
O2 0.000 0.000 0.699
O3 0.014 0.507 0.692
O4 0.159 0.317 0.419
O5 0.159 0.841 0.419
O6 0.317 0.159 0.919
O7 0.333 0.667 0.915
O8 0.493 0.507 0.692
O9 0.493 0.986 0.692
O10 0.507 0.014 0.192
O11 0.507 0.493 0.192
O12 0.667 0.333 0.415
O13 0.683 0.841 0.419
O14 0.841 0.159 0.919
O15 0.841 0.683 0.919
O16 0.986 0.493 0.192

=====

Q: Which of these has the highest ΔH_f (0 K)?
A: Li4Co7O16

=====

Repeat the fourth record exactly.
Density functional theory data (PBE+U) for a relaxed Li5CoO4 crystal.

Values from the calculation:
- ΔH_f (0 K): -1.873 eV per atom
- Energy: -406.3 eV per cell
- Space-group type: No. 61
- Offset from the most stable computed form: 50.3 meV/atom

Cell lengths 5.083, 16.136, 9.721 Å; angles 90.00, 90.00, 90.00 degrees
Atoms (fractional coordinates):
Li1 0.030 0.227 0.044
Li2 0.030 0.273 0.544
Li3 0.081 0.570 0.440
Li4 0.081 0.930 0.940
Li5 0.095 0.179 0.314
Li6 0.095 0.321 0.814
Li7 0.101 0.519 0.196
Li8 0.101 0.981 0.696
Li9 0.105 0.666 0.691
Li10 0.105 0.834 0.191
Li11 0.395 0.166 0.691
Li12 0.395 0.334 0.191
Li13 0.399 0.019 0.196
Li14 0.399 0.481 0.696
Li15 0.405 0.679 0.314
Li16 0.405 0.821 0.814
Li17 0.419 0.070 0.440
Li18 0.419 0.430 0.940
Li19 0.470 0.727 0.044
Li20 0.470 0.773 0.544
Li21 0.530 0.227 0.456
Li22 0.530 0.273 0.956
Li23 0.581 0.570 0.060
Li24 0.581 0.930 0.560
Li25 0.595 0.179 0.186
Li26 0.595 0.321 0.686
Li27 0.601 0.519 0.304
Li28 0.601 0.981 0.804
Li29 0.605 0.666 0.809
Li30 0.605 0.834 0.309
Li31 0.895 0.166 0.809
Li32 0.895 0.334 0.309
Li33 0.899 0.019 0.304
Li34 0.899 0.481 0.804
Li35 0.905 0.679 0.186
Li36 0.905 0.821 0.686
Li37 0.919 0.070 0.060
Li38 0.919 0.430 0.560
Li39 0.970 0.727 0.456
Li40 0.970 0.773 0.956
Co1 0.125 0.616 0.953
Co2 0.125 0.884 0.453
Co3 0.375 0.116 0.953
Co4 0.375 0.384 0.453
Co5 0.625 0.616 0.547
Co6 0.625 0.884 0.047
Co7 0.875 0.116 0.547
Co8 0.875 0.384 0.047
O1 0.212 0.152 0.522
O2 0.212 0.348 0.022
O3 0.231 0.125 0.139
O4 0.231 0.375 0.639
O5 0.232 0.209 0.854
O6 0.232 0.291 0.354
O7 0.247 0.524 0.866
O8 0.247 0.976 0.366
O9 0.253 0.024 0.866
O10 0.253 0.476 0.366
O11 0.268 0.709 0.854
O12 0.268 0.791 0.354
O13 0.269 0.625 0.139
O14 0.269 0.875 0.639
O15 0.288 0.652 0.522
O16 0.288 0.848 0.022
O17 0.712 0.152 0.978
O18 0.712 0.348 0.478
O19 0.731 0.125 0.361
O20 0.731 0.375 0.861
O21 0.732 0.209 0.646
O22 0.732 0.291 0.146
O23 0.747 0.524 0.634
O24 0.747 0.976 0.134
O25 0.753 0.024 0.634
O26 0.753 0.476 0.134
O27 0.768 0.709 0.646
O28 0.768 0.791 0.146
O29 0.769 0.625 0.361
O30 0.769 0.875 0.861
O31 0.788 0.652 0.978
O32 0.788 0.848 0.478

=====

Q: The lowest ΔH_f (0 K) belongs to which entry?
A: Li5CoO4